A plane-wave DFT calculation with meta-GGA r2SCAN was carried out for a relaxed Er2Mo2C3 crystal.

Cell: 11.6043 3.3134 5.6624 Å, 90.00 111.86 90.00°
Space group C2/m (No. 12)
Inequivalent atoms, fractional coordinates:
Er  0.1107  0.0000  0.3263 (multiplicity 4)
Mo  0.1563  0.5000  0.8268 (multiplicity 4)
C  0.0000  0.5000  0.5000 (multiplicity 2)
C  0.2482  0.5000  0.2354 (multiplicity 4)

Summary:
Density ... 9.2 g/cm3
Energy of formation ... -0.4952 eV/atom
Crystal system ... monoclinic
Total magnetic moment ... 0.0 μB per formula unit